Computed, not measured: a relaxed Nd2CoSi3 crystal at the PBE-GGA level of DFT.

Output
V = 20.0 Å³ per atom
ΔH_f (0 K) = -3.3 eV/f.u.
size of the total moment = 0.02 Bohr magnetons per cell

a = 4.0328 Å, b = 4.0328 Å, c = 8.5275 Å
α = 90.00°, β = 90.00°, γ = 120.00°
Element x y z (fractional)
Nd1 0.3333 0.6667 0.7533
Nd2 0.3333 0.6667 0.2467
Si1 0.0000 0.0000 0.0000
Si2 0.6667 0.3333 0.5000
Si3 0.0000 0.0000 0.5000
Co1 0.6667 0.3333 0.0000